[1]
SbSCl9, optimized geometry, DFT PBE-GGA; polymorph energy (0 for the lowest one) = 0 meV/atom; space-group type = C2/m (12); ΔH_f (0 K) = -0.9690 eV/atom
1.0
-2.606 -6.586 -3.140
4.845 -3.922 -4.601
5.322 -10.421 8.134
Cl Sb S
18 2 2
direct
0.738 0.313 0.610
0.788 0.788 0.605
0.973 0.973 0.177
0.262 0.687 0.390
0.965 0.578 0.801
0.808 0.808 0.036
0.035 0.422 0.199
0.212 0.212 0.395
0.687 0.262 0.390
0.704 0.296 0.000
0.192 0.192 0.964
0.689 0.689 0.417
0.027 0.027 0.823
0.311 0.311 0.583
0.422 0.035 0.199
0.296 0.704 0.000
0.578 0.965 0.801
0.313 0.738 0.610
0.500 0.500 0.500
0.000 0.000 0.000
0.155 0.155 0.280
0.845 0.845 0.720



[2]
WSeS2Cl5, optimized geometry, DFT PBE-GGA; space-group type = C2/c (15); ΔH_f (0 K) = -1.0280 eV/atom
1.0
-3.971 7.060 6.191
-3.562 -2.172 9.302
8.775 4.017 10.768
Cl S Se W
20 8 4 4
direct
0.975 0.136 0.867
0.064 0.483 0.853
0.936 0.517 0.147
0.233 0.136 0.115
0.380 0.838 0.905
0.136 0.233 0.615
0.435 0.345 0.729
0.136 0.975 0.367
0.620 0.162 0.095
0.864 0.767 0.385
0.838 0.380 0.405
0.483 0.064 0.353
0.345 0.435 0.229
0.864 0.025 0.633
0.767 0.864 0.885
0.517 0.936 0.647
0.025 0.864 0.133
0.655 0.565 0.771
0.565 0.655 0.271
0.162 0.620 0.595
0.865 0.246 0.124
0.459 0.664 0.609
0.246 0.865 0.624
0.754 0.135 0.376
0.336 0.541 0.891
0.664 0.459 0.109
0.541 0.336 0.391
0.135 0.754 0.876
0.222 0.080 0.761
0.778 0.920 0.239
0.920 0.778 0.739
0.080 0.222 0.261
0.615 0.237 0.239
0.237 0.615 0.739
0.385 0.763 0.761
0.763 0.385 0.261



[3]
Sm3SiS6Cl, optimized geometry, DFT PBE-GGA; polymorph energy (0 for the lowest one) = 0 meV/atom; space-group type = Pnma (62); ΔH_f (0 K) = -2.0624 eV/atom
1.0
10.376 0.000 0.000
0.000 12.484 0.000
0.000 0.000 16.235
S Si Sm Cl
48 8 24 8
direct
0.750 0.437 0.547
0.750 0.021 0.293
0.750 0.356 0.888
0.250 0.314 0.971
0.410 0.739 0.746
0.750 0.186 0.471
0.010 0.342 0.432
0.410 0.239 0.754
0.581 0.972 0.771
0.250 0.814 0.529
0.750 0.686 0.029
0.419 0.528 0.271
0.750 0.856 0.612
0.250 0.063 0.047
0.250 0.882 0.903
0.910 0.261 0.254
0.010 0.842 0.068
0.581 0.472 0.729
0.490 0.842 0.068
0.081 0.528 0.271
0.590 0.761 0.246
0.081 0.028 0.229
0.750 0.729 0.801
0.490 0.342 0.432
0.750 0.118 0.097
0.250 0.644 0.112
0.250 0.979 0.707
0.090 0.239 0.754
0.090 0.739 0.746
0.250 0.563 0.453
0.250 0.479 0.793
0.990 0.658 0.568
0.910 0.761 0.246
0.250 0.382 0.597
0.750 0.618 0.403
0.250 0.144 0.388
0.510 0.158 0.932
0.919 0.472 0.729
0.250 0.771 0.301
0.750 0.937 0.953
0.750 0.521 0.207
0.250 0.271 0.199
0.419 0.028 0.229
0.990 0.158 0.932
0.590 0.261 0.254
0.919 0.972 0.771
0.750 0.229 0.699
0.510 0.658 0.568
0.750 0.664 0.277
0.750 0.384 0.759
0.250 0.116 0.259
0.750 0.164 0.223
0.750 0.884 0.741
0.250 0.836 0.777
0.250 0.616 0.241
0.250 0.336 0.723
0.036 0.882 0.612
0.536 0.118 0.388
0.250 0.616 0.624
0.750 0.123 0.862
0.750 0.384 0.376
0.536 0.618 0.112
0.544 0.312 0.595
0.250 0.877 0.138
0.956 0.312 0.595
0.456 0.188 0.095
0.044 0.188 0.095
0.250 0.377 0.362
0.456 0.688 0.405
0.964 0.118 0.388
0.464 0.382 0.888
0.464 0.882 0.612
0.044 0.688 0.405
0.036 0.382 0.888
0.250 0.116 0.876
0.964 0.618 0.112
0.750 0.884 0.124
0.544 0.812 0.905
0.956 0.812 0.905
0.750 0.623 0.638
0.457 0.604 0.940
0.457 0.104 0.560
0.543 0.896 0.440
0.957 0.896 0.440
0.957 0.396 0.060
0.543 0.396 0.060
0.043 0.104 0.560
0.043 0.604 0.940



[4]
Sm3SiS6Cl, optimized geometry, DFT PBE-GGA; polymorph energy (0 for the lowest one) = 28 meV/atom; space-group type = P2_1 (4); ΔH_f (0 K) = -2.0344 eV/atom
1.0
-4.412 -3.027 -2.068
2.874 -7.856 5.369
-3.615 -1.057 9.258
S Sm Cl Si
12 6 2 2
direct
0.981 0.474 0.109
0.481 0.526 0.891
0.980 0.111 0.409
0.723 0.090 0.745
0.222 0.256 0.839
0.223 0.910 0.255
0.722 0.744 0.161
0.480 0.889 0.591
0.485 0.583 0.522
0.967 0.668 0.667
0.467 0.332 0.333
0.985 0.417 0.478
0.251 0.136 0.641
0.751 0.864 0.359
0.248 0.226 0.127
0.751 0.354 0.765
0.251 0.646 0.235
0.748 0.774 0.873
0.721 0.162 0.091
0.221 0.838 0.909
0.335 0.665 0.667
0.835 0.335 0.333



[5]
Sm2SCl4, optimized geometry, DFT PBE-GGA; space-group type = C2/c (15); ΔH_f (0 K) = -2.6407 eV/atom
1.0
3.606 -5.469 -5.150
6.243 -5.464 0.773
-3.910 -5.609 1.746
Cl S Sm
8 2 4
direct
0.484 0.692 0.076
0.692 0.484 0.576
0.308 0.516 0.424
0.139 0.300 0.179
0.300 0.139 0.679
0.700 0.861 0.321
0.861 0.700 0.821
0.516 0.308 0.924
0.937 0.063 0.250
0.063 0.937 0.750
0.101 0.685 0.077
0.685 0.101 0.577
0.899 0.315 0.923
0.315 0.899 0.423



[6]
Ti2SCl12, optimized geometry, DFT PBE-GGA; space-group type = R-3 (148); ΔH_f (0 K) = -1.5841 eV/atom
1.0
8.879 -11.365 0.000
8.879 11.365 0.000
-5.667 0.000 13.262
Cl S Ti
72 6 12
direct
0.212 0.168 0.867
0.364 0.721 0.199
0.850 0.052 0.352
0.509 0.502 0.176
0.813 0.328 0.636
0.710 0.878 0.678
0.038 0.031 0.214
0.832 0.133 0.788
0.721 0.199 0.364
0.957 0.284 0.454
0.214 0.038 0.031
0.712 0.018 0.538
0.032 0.890 0.374
0.824 0.491 0.498
0.043 0.716 0.546
0.187 0.672 0.364
0.498 0.824 0.491
0.290 0.122 0.322
0.968 0.110 0.626
0.322 0.290 0.122
0.867 0.212 0.168
0.352 0.850 0.052
0.678 0.710 0.878
0.168 0.867 0.212
0.469 0.162 0.137
0.279 0.801 0.636
0.150 0.948 0.648
0.648 0.150 0.948
0.546 0.043 0.716
0.491 0.498 0.824
0.162 0.137 0.469
0.476 0.634 0.661
0.878 0.678 0.710
0.374 0.032 0.890
0.672 0.364 0.187
0.502 0.176 0.509
0.366 0.339 0.524
0.801 0.636 0.279
0.199 0.364 0.721
0.969 0.786 0.962
0.661 0.476 0.634
0.454 0.957 0.284
0.176 0.509 0.502
0.284 0.454 0.957
0.634 0.661 0.476
0.636 0.813 0.328
0.838 0.863 0.531
0.364 0.187 0.672
0.948 0.648 0.150
0.462 0.288 0.982
0.110 0.626 0.968
0.716 0.546 0.043
0.122 0.322 0.290
0.288 0.982 0.462
0.052 0.352 0.850
0.788 0.832 0.133
0.863 0.531 0.838
0.786 0.962 0.969
0.031 0.214 0.038
0.137 0.469 0.162
0.538 0.712 0.018
0.524 0.366 0.339
0.636 0.279 0.801
0.133 0.788 0.832
0.962 0.969 0.786
0.982 0.462 0.288
0.531 0.838 0.863
0.328 0.636 0.813
0.339 0.524 0.366
0.018 0.538 0.712
0.890 0.374 0.032
0.626 0.968 0.110
0.448 0.839 0.171
0.161 0.829 0.552
0.839 0.171 0.448
0.552 0.161 0.829
0.171 0.448 0.839
0.829 0.552 0.161
0.821 0.491 0.653
0.509 0.347 0.179
0.145 0.990 0.323
0.179 0.509 0.347
0.677 0.855 0.010
0.491 0.653 0.821
0.010 0.677 0.855
0.855 0.010 0.677
0.653 0.821 0.491
0.323 0.145 0.990
0.990 0.323 0.145
0.347 0.179 0.509



Question: Number 3 is which compound?
Answer: Sm3SiS6Cl